Here is a relaxed structure of KPb2Cl5 from Materials Project. Energies are from meta-GGA r2SCAN.

Cell: 8.107 8.835 12.495 Å, 90.00 90.00 90.00°
Fractional positions:
K (0.529, 0.505, 0.172)
K (0.971, 0.505, 0.672)
K (0.029, 0.005, 0.328)
K (0.471, 0.005, 0.828)
Pb (0.497, 0.015, 0.181)
Pb (0.582, 0.248, 0.497)
Pb (0.918, 0.248, 0.997)
Pb (0.003, 0.015, 0.681)
Pb (0.997, 0.515, 0.319)
Pb (0.082, 0.748, 0.003)
Pb (0.418, 0.748, 0.503)
Pb (0.503, 0.515, 0.819)
Cl (0.547, 0.243, 0.004)
Cl (0.646, 0.732, 0.690)
Cl (0.676, 0.539, 0.410)
Cl (0.655, 0.955, 0.401)
Cl (0.687, 0.262, 0.723)
Cl (0.813, 0.262, 0.223)
Cl (0.845, 0.955, 0.901)
Cl (0.824, 0.539, 0.910)
Cl (0.854, 0.732, 0.190)
Cl (0.953, 0.243, 0.504)
Cl (0.047, 0.743, 0.496)
Cl (0.146, 0.232, 0.810)
Cl (0.155, 0.455, 0.099)
Cl (0.176, 0.039, 0.090)
Cl (0.187, 0.762, 0.777)
Cl (0.313, 0.762, 0.277)
Cl (0.324, 0.039, 0.590)
Cl (0.345, 0.455, 0.599)
Cl (0.354, 0.232, 0.310)
Cl (0.453, 0.743, 0.996)

Summary:
- E_tot: -646.41 eV per cell
- ΔE to the lowest computed polymorph: 0.013 eV/atom